[1]
A relaxed SbTe6H12C4NO6F30 crystal. Source: the Materials Project, functional GGA-PBE.

```
SbTe6H12C4NO6F30
1.0
8.950 -5.303 0.000
8.950 5.303 0.000
-7.204 0.000 18.989
Sb Te H C N O F
2 12 24 8 2 12 60
Cartesian
4.475 2.651 0.000
0.873 -2.651 9.494
2.877 1.022 2.853
7.414 3.402 1.961
6.883 3.402 7.534
2.282 0.512 8.337
-0.725 -1.022 12.347
-1.320 -0.512 17.832
12.015 0.512 1.157
11.420 1.022 6.642
8.413 -0.512 10.651
3.812 -3.402 11.455
3.281 -3.402 17.028
7.818 -1.022 16.136
2.033 3.626 14.283
3.072 3.639 12.818
1.816 2.366 13.029
4.021 3.639 15.665
5.060 3.626 14.200
2.326 1.902 15.971
4.767 1.902 12.512
2.113 0.637 14.724
5.277 2.366 15.454
3.509 0.636 12.731
3.584 0.636 15.752
5.715 -0.637 5.230
4.980 0.637 13.759
7.111 -0.636 3.236
7.186 -0.636 6.258
5.418 -2.366 3.535
8.582 -0.637 4.265
5.928 -1.902 6.477
8.369 -1.902 3.018
5.635 -3.626 4.789
6.674 -3.639 3.323
8.879 -2.366 5.959
7.623 -3.639 6.171
8.662 -3.626 4.706
2.544 3.004 13.540
4.549 3.004 14.943
2.843 1.265 15.248
4.250 1.265 13.236
6.445 -1.265 5.753
7.852 -1.265 3.741
6.146 -3.004 4.045
8.151 -3.004 5.449
3.546 2.133 14.242
7.149 -2.133 4.747
6.001 3.691 0.738
4.088 2.057 1.866
-1.514 1.094 18.785
8.296 3.691 8.756
2.089 -1.094 9.291
0.486 -2.057 11.360
10.209 2.057 7.628
8.607 1.094 9.698
2.399 -3.691 10.232
12.209 -1.094 0.204
6.607 -2.057 17.123
4.694 -3.691 18.251
-6.162 0.112 17.336
-2.560 -0.112 7.842
3.100 2.222 4.274
6.364 3.939 3.423
0.387 3.332 16.719
2.612 2.129 7.446
0.643 1.229 8.908
5.430 3.295 6.358
-1.009 0.270 11.020
1.737 0.048 3.978
-1.865 -0.048 13.472
7.934 3.939 6.071
2.593 -0.270 1.525
-2.185 0.088 16.274
8.547 2.792 0.600
1.417 -0.088 6.780
5.750 2.792 8.894
8.867 3.295 3.137
3.134 1.213 9.855
7.009 1.613 2.381
6.706 3.332 11.764
0.705 0.025 13.007
4.307 -0.025 3.512
-2.959 -1.229 18.402
0.322 0.118 17.165
3.924 -0.118 7.671
7.288 1.613 7.114
-0.502 -2.222 13.769
11.685 2.129 2.049
6.736 -1.213 0.361
3.959 1.213 18.628
-0.990 -2.129 16.940
11.197 2.222 5.220
3.407 -1.613 11.875
6.771 0.118 11.318
10.373 -0.118 1.824
13.654 1.229 0.587
6.388 0.025 15.477
9.990 -0.025 5.982
3.989 -3.332 7.225
3.686 -1.613 16.608
7.561 -1.213 9.134
1.828 -3.295 15.852
4.945 -2.792 10.095
9.278 0.088 12.209
2.148 -2.792 18.388
12.880 -0.088 2.714
8.102 0.270 17.463
2.761 -3.939 12.918
12.560 0.048 5.516
8.958 -0.048 15.011
11.704 -0.270 7.969
5.265 -3.295 12.631
10.052 -1.229 10.081
8.083 -2.129 11.543
10.308 -3.332 2.270
4.332 -3.939 15.565
7.595 -2.222 14.714
13.255 0.112 11.147
16.857 -0.112 1.653
```

Computed properties:
Its space group is C2/c, No. 15. Its formation energy is -1.688 eV per atom. The calculation puts the MP2020-corrected energy at -4.956 eV per atom.

[2]
A relaxed K2Na2Nd2MgNb2O10 crystal. Source: the Materials Project, functional GGA-PBE.

```
K2Na2Nd2MgNb2O10
1.0
5.677 0.000 0.000
0.000 5.677 0.000
0.000 0.000 9.420
K Na Nd Mg Nb O
2 2 2 1 2 10
Cartesian
0.000 2.838 0.000
2.838 0.000 0.000
0.000 0.000 1.962
2.838 2.838 7.741
0.000 2.838 5.473
2.838 0.000 5.473
0.000 0.000 4.307
0.000 0.000 7.305
2.838 2.838 3.168
0.000 0.000 9.292
1.385 1.385 6.936
1.385 4.292 6.936
1.477 1.477 3.799
1.477 4.200 3.799
2.838 2.838 1.294
4.200 1.477 3.799
4.200 4.200 3.799
4.292 1.385 6.936
4.292 4.292 6.936
```

Computed properties:
Its space group is P4mm, No. 99. Its formation energy is -2.664 eV per atom. The calculation puts the excess energy over the best structure of this formula in the dataset at 0.45 eV per formula unit. The calculation puts the MP2020-corrected energy at -7.174 eV per atom.

[3]
A relaxed LiBeH3 crystal. Source: the Materials Project, functional GGA-PBE.

```
LiBeH3
1.0
6.050 0.000 0.000
-0.041 6.172 0.000
-0.856 -1.654 6.555
Li Be H
6 6 18
Cartesian
0.051 1.547 0.030
0.819 4.621 4.489
0.913 1.473 4.606
4.240 3.045 1.949
4.334 -0.103 2.066
5.102 2.971 6.525
1.086 0.205 2.075
1.079 2.841 2.129
2.488 4.618 0.838
2.665 -0.100 5.717
4.074 1.677 4.426
4.067 4.313 4.480
-0.002 -0.075 1.209
-0.020 3.151 1.279
0.759 -0.017 3.411
0.854 3.022 3.510
0.939 2.951 6.151
1.533 1.532 1.766
1.234 -0.093 5.822
2.307 3.490 1.736
2.343 -0.409 1.709
2.810 4.927 4.846
2.846 1.028 4.819
3.920 4.611 0.733
3.620 2.986 4.789
4.214 1.567 0.404
4.299 1.496 3.045
4.394 4.535 3.144
5.173 1.368 5.275
5.155 4.593 5.346
```

Computed properties:
Its space group is P-1, No. 2. Its formation energy is -0.329 eV per atom. The calculation puts the excess energy over the best structure of this formula in the dataset at 0.00 eV per formula unit. The calculation puts the MP2020-corrected energy at -3.494 eV per atom.

[4]
A relaxed SmI crystal. Source: the Materials Project, functional GGA-PBE.

```
SmI
1.0
3.890 0.000 0.000
-1.945 3.368 0.000
0.000 0.000 4.711
Sm I
1 1
Cartesian
0.000 0.000 0.000
0.000 2.246 2.355
```

Computed properties:
Its space group is P-6m2, No. 187. Its formation energy is -1.077 eV per atom. The calculation puts the MP2020-corrected energy at -4.198 eV per atom.

[5]
A relaxed Cr2C3N6 crystal. Source: the Materials Project, functional GGA-PBE.

```
Cr2C3N6
1.0
2.764 1.596 9.390
-2.764 1.596 9.390
0.000 -3.192 9.390
Cr C N
4 6 12
Cartesian
0.000 0.000 4.649
0.000 0.000 9.436
0.000 0.000 18.734
0.000 0.000 23.521
-1.887 -0.076 11.738
-0.877 -1.672 16.433
1.010 -1.596 11.738
-1.010 1.596 16.433
0.877 1.672 11.738
1.887 0.076 16.433
-1.699 -0.222 10.530
-2.107 0.013 12.946
-1.065 -1.818 15.225
-0.657 -1.583 17.641
1.042 -1.360 10.530
1.042 -1.832 12.946
-1.042 1.832 15.225
-1.042 1.360 17.641
0.657 1.583 10.530
1.065 1.818 12.946
2.107 -0.013 15.225
1.699 0.222 17.641
```

Computed properties:
Its space group is R-3c, No. 167. Its formation energy is -0.278 eV per atom. The calculation puts the MP2020-corrected energy at -9.097 eV per atom.

[6]
A relaxed HgS2O7 crystal. Source: the Materials Project, functional GGA-PBE.

```
HgS2O7
1.0
5.284 0.000 0.000
0.000 13.253 0.000
-4.922 0.000 8.429
Hg S O
4 8 28
Cartesian
-0.841 2.083 2.769
-3.302 4.543 6.984
3.665 8.709 1.445
1.204 11.169 5.660
-1.547 8.961 4.974
0.913 10.918 0.760
-1.502 0.278 5.839
0.959 6.349 1.624
-0.597 6.904 6.805
1.864 12.975 2.590
-0.551 2.335 7.669
1.910 4.291 3.455
-0.159 2.184 0.477
-2.620 4.442 4.692
-0.277 6.807 2.251
-2.737 13.072 6.466
-1.684 1.435 4.964
0.777 5.191 0.749
-2.271 9.738 5.995
0.190 10.141 1.780
-1.554 7.406 5.545
0.907 12.473 1.330
1.765 7.418 1.035
-0.696 12.461 5.250
-1.956 2.700 7.823
0.505 3.926 3.609
-0.142 9.327 4.820
2.319 10.552 0.606
1.058 0.792 3.179
-1.403 5.834 7.394
-0.544 0.780 7.099
1.917 5.846 2.884
0.172 3.112 6.649
2.633 3.515 2.434
-0.415 8.062 7.680
2.046 11.817 3.465
3.100 0.181 1.963
0.639 6.446 6.178
2.982 8.810 3.737
0.521 11.069 7.952
```

Computed properties:
Its space group is P2_1/c, No. 14. Its formation energy is -1.542 eV per atom. The calculation puts the MP2020-corrected energy at -5.864 eV per atom.

[7]
A relaxed Ga crystal. Source: the Materials Project, functional GGA-PBE.

```
Ga
1.0
-1.399 1.399 2.432
1.399 -1.399 2.432
1.399 1.399 -2.432
Ga
1
Cartesian
0.000 0.000 0.000
```

Computed properties:
Its space group is I4/mmm, No. 139. Its formation energy is 0.024 eV per atom. The calculation puts the excess energy over the best structure of this formula in the dataset at 0.02 eV per formula unit.

[8]
A relaxed Ce3Al11 crystal. Source: the Materials Project, functional GGA-PBE.

```
Ce3Al11
1.0
-2.177 4.997 6.474
2.177 -4.997 6.474
2.177 4.997 -6.474
Ce Al
3 11
Cartesian
0.000 0.000 0.000
0.000 0.000 4.100
0.000 0.000 8.848
2.177 -1.298 2.147
2.177 -2.256 4.701
2.177 2.861 0.000
2.177 1.298 2.147
0.000 2.742 1.772
0.000 4.997 0.000
2.177 2.256 4.701
0.000 3.700 4.327
0.000 2.137 6.474
0.000 7.253 1.772
0.000 6.295 4.327
```

Computed properties:
Its space group is Immm, No. 71. Its formation energy is -0.355 eV per atom.

[9]
A relaxed LiIrO2 crystal. Source: the Materials Project, functional GGA-PBE.

```
LiIrO2
1.0
2.766 -4.793 0.000
2.766 4.793 0.000
-1.840 0.000 4.610
Li Ir O
3 3 6
Cartesian
0.000 0.000 0.000
2.766 1.697 0.000
2.766 -1.697 0.000
1.846 3.199 2.305
1.846 0.000 2.305
1.846 -3.199 2.305
0.924 1.594 1.301
0.000 0.000 3.300
0.924 -1.594 1.301
2.768 1.594 3.309
3.692 0.000 1.310
2.768 -1.594 3.309
```

Computed properties:
Its space group is C2/m, No. 12. Its formation energy is -1.373 eV per atom. The calculation puts the MP2020-corrected energy at -6.534 eV per atom.

[10]
A relaxed Nd6Fe13Bi crystal. Source: the Materials Project, functional GGA-PBE.

```
Nd6Fe13Bi
1.0
-4.038 4.038 11.739
4.038 -4.038 11.739
4.038 4.038 -11.739
Nd Fe Bi
12 26 2
Cartesian
2.738 -1.300 4.318
0.000 0.000 2.410
5.338 -1.300 7.421
5.338 1.300 4.318
0.000 0.000 9.329
2.738 1.300 7.421
1.300 2.738 4.318
0.000 0.000 14.149
-1.300 2.738 7.421
-1.300 5.338 4.318
0.000 0.000 21.068
1.300 5.338 7.421
4.038 0.000 0.000
3.120 0.918 -2.195
1.702 0.540 0.000
5.478 1.440 -1.370
3.120 0.918 2.195
3.498 -2.336 11.739
5.478 1.440 1.370
1.440 2.598 -1.370
3.498 2.336 0.000
3.120 -0.918 9.544
1.440 2.598 1.370
1.702 -0.540 11.739
3.120 -0.918 13.934
0.000 4.038 0.000
0.918 4.956 -2.195
2.336 4.578 0.000
2.598 1.440 10.369
0.918 4.956 2.195
0.540 1.702 11.739
2.598 1.440 13.109
-1.440 2.598 10.369
0.540 6.374 0.000
0.918 3.120 9.544
-1.440 2.598 13.109
2.336 3.498 11.739
0.918 3.120 13.934
0.000 0.000 5.870
0.000 0.000 17.609
```

Computed properties:
Its space group is I4/mcm, No. 140. Its formation energy is -0.094 eV per atom.

[11]
A relaxed InGa2Au2 crystal. Source: the Materials Project, functional GGA-PBE.

```
InGa2Au2
1.0
4.316 0.000 0.000
-2.158 3.737 0.000
0.000 0.000 13.190
In Ga Au
2 4 4
Cartesian
0.000 0.000 3.298
0.000 0.000 9.893
0.000 2.492 0.835
0.000 2.492 5.760
2.158 1.246 7.430
2.158 1.246 12.355
0.000 2.492 8.417
0.000 2.492 11.368
2.158 1.246 1.822
2.158 1.246 4.773
```

Computed properties:
Its space group is P6_3/mmc, No. 194. Its formation energy is -0.245 eV per atom.

[12]
A relaxed Ca5P3HO13 crystal. Source: the Materials Project, functional GGA-PBE.

```
Ca5P3HO13
1.0
9.545 0.000 0.000
-4.773 8.267 0.000
0.000 0.000 6.919
Ca P H O
10 6 2 26
Cartesian
-1.182 2.077 0.000
-2.383 8.252 0.000
1.208 2.062 3.460
0.000 5.511 1.717
0.000 5.511 5.194
4.773 2.756 1.735
4.773 2.756 5.177
3.565 6.204 0.000
7.155 0.015 3.460
5.955 6.189 3.460
-1.614 3.296 3.467
-1.111 8.016 3.467
2.048 3.045 0.008
2.725 5.221 3.467
5.884 0.251 0.008
6.386 4.970 0.008
0.000 0.000 1.233
0.000 0.000 4.693
0.000 0.000 0.256
0.000 0.000 3.716
-0.822 2.792 2.229
-0.817 2.876 4.731
-1.625 4.859 3.431
-1.716 5.539 0.017
-1.943 7.582 2.229
-1.873 7.536 4.731
0.834 4.011 0.017
2.007 2.108 5.689
2.082 2.146 1.272
1.377 4.430 3.431
0.248 7.244 3.431
3.891 1.284 3.477
0.882 6.983 0.017
4.525 1.022 6.890
3.396 3.837 6.890
2.690 6.121 4.731
2.765 6.158 2.229
3.939 4.255 3.477
6.646 0.731 1.272
6.716 0.684 5.689
6.488 2.728 3.477
6.398 3.408 6.890
5.590 5.390 1.272
5.595 5.474 5.689
```

Computed properties:
Its space group is P6_3, No. 173. Its formation energy is -3.223 eV per atom. The value obtained for the piezoelectric modulus e_max is 0.25 C/m². The calculation puts the MP2020-corrected energy at -7.495 eV per atom.

Ρ values, unit g/cm3, following the record order: 3.0; 4.3; 0.8; 7.5; 3.0; 4.2; 6.1; 4.2; 9.4; 7.8; 10.1; 3.1.